# 1
# TeO2

TeO2 after structural relaxation (GGA-PBE, Materials Project).

Values from the calculation:
space group: No. 62
E: -63.18 eV per cell
volume: 168.1 Å³ per cell
total energy after the MP2020 corrections: -5.7229 eV per atom
energy of formation: -1376 meV/atom
total magnetization: 0.0 μB per formula unit

a b c (Å): 3.578 5.856 8.024
angles (deg): 90.00 90.00 90.00
Positions (direct):
O: 0.750 0.868 0.961
O: 0.750 0.368 0.539
O: 0.750 0.459 0.130
Te: 0.250 0.239 0.439
O: 0.250 0.041 0.630
O: 0.750 0.959 0.370
O: 0.250 0.132 0.039
Te: 0.750 0.761 0.561
Te: 0.250 0.739 0.061
O: 0.250 0.632 0.461
O: 0.250 0.541 0.870
Te: 0.750 0.261 0.939


# 2
# KAu2O4

KAu2O4 after structural relaxation (GGA-PBE, Materials Project).

Values from the calculation:
space group: No. 131
E: -60.13 eV per cell
volume: 271.6 Å³ per cell
total energy after the MP2020 corrections: -4.6874 eV per atom
energy of formation: -766 meV/atom

a b c (Å): 6.970 6.970 5.591
angles (deg): 90.00 90.00 90.00
Positions (direct):
Au: 0.000 0.205 0.000
Au: 0.205 0.000 0.500
O: 0.209 0.791 0.750
O: 0.209 0.209 0.750
O: 0.791 0.791 0.750
Au: 0.000 0.795 0.000
O: 0.209 0.791 0.250
O: 0.791 0.791 0.250
O: 0.791 0.209 0.250
O: 0.791 0.209 0.750
K: 0.000 0.500 0.500
Au: 0.795 0.000 0.500
O: 0.209 0.209 0.250
K: 0.500 0.000 0.000


# 3
# LiAgF4

LiAgF4 after structural relaxation (GGA-PBE, Materials Project).

Values from the calculation:
space group: No. 15
E: -44.93 eV per cell
volume: 159.7 Å³ per cell
total energy after the MP2020 corrections: -4.0522 eV per atom
energy of formation: -1986 meV/atom

a b c (Å): 6.364 6.364 4.990
angles (deg): 70.01 70.01 59.28
Positions (direct):
F: 0.788 0.992 0.182
F: 0.992 0.788 0.682
Li: 0.843 0.157 0.750
F: 0.520 0.221 0.677
F: 0.008 0.212 0.318
F: 0.221 0.520 0.177
Ag: 0.500 0.000 0.500
F: 0.779 0.480 0.823
Ag: 0.000 0.500 0.000
Li: 0.157 0.843 0.250
F: 0.212 0.008 0.818
F: 0.480 0.779 0.323


# 4
# NaIO3

NaIO3 after structural relaxation (GGA-PBE, Materials Project).

Values from the calculation:
space group: No. 33
E: -86.30 eV per cell
volume: 355.3 Å³ per cell
total energy after the MP2020 corrections: -4.7272 eV per atom
energy of formation: -1189 meV/atom
total magnetization: 0.0 μB per formula unit

a b c (Å): 5.566 7.421 8.600
angles (deg): 90.00 90.00 90.00
Positions (direct):
O: 0.111 0.859 0.584
O: 0.611 0.641 0.584
O: 0.401 0.346 0.414
Na: 0.497 0.014 0.496
O: 0.197 0.477 0.746
O: 0.599 0.654 0.914
Na: 0.003 0.514 0.996
O: 0.901 0.154 0.414
O: 0.303 0.977 0.246
O: 0.697 0.023 0.746
I: 0.025 0.996 0.752
I: 0.525 0.504 0.752
O: 0.803 0.523 0.246
O: 0.099 0.846 0.914
I: 0.475 0.496 0.252
O: 0.889 0.141 0.084
Na: 0.503 0.986 0.996
I: 0.975 0.004 0.252
Na: 0.997 0.486 0.496
O: 0.389 0.359 0.084


# 5
# CaTiAs2O7

CaTiAs2O7 after structural relaxation (GGA-PBE, Materials Project).

Values from the calculation:
space group: No. 14
E: -306.37 eV per cell
volume: 654.8 Å³ per cell
total energy after the MP2020 corrections: -7.4002 eV per atom
energy of formation: -2504 meV/atom
total magnetization: 0.0 μB per formula unit

a b c (Å): 8.612 8.196 10.646
angles (deg): 60.63 90.00 90.00
Positions (direct):
O: 0.750 0.332 0.267
O: 0.901 0.959 0.302
O: 0.619 0.974 0.396
O: 0.390 0.446 0.627
As: 0.761 0.548 0.754
Ca: 0.070 0.739 0.905
As: 0.683 0.949 0.960
Ti: 0.561 0.196 0.218
O: 0.919 0.630 0.265
As: 0.239 0.452 0.246
O: 0.250 0.668 0.233
O: 0.818 0.687 0.572
O: 0.419 0.370 0.235
O: 0.099 0.041 0.698
As: 0.739 0.548 0.254
O: 0.329 0.765 0.927
O: 0.110 0.446 0.127
O: 0.829 0.235 0.573
Ca: 0.570 0.261 0.595
O: 0.881 0.974 0.896
Ca: 0.930 0.261 0.095
Ca: 0.430 0.739 0.405
O: 0.381 0.026 0.604
O: 0.599 0.959 0.802
O: 0.671 0.235 0.073
O: 0.401 0.041 0.198
O: 0.682 0.687 0.072
As: 0.183 0.051 0.540
O: 0.890 0.554 0.873
As: 0.261 0.452 0.746
O: 0.581 0.630 0.765
O: 0.318 0.313 0.928
Ti: 0.061 0.804 0.282
Ti: 0.439 0.804 0.782
O: 0.610 0.554 0.373
O: 0.250 0.668 0.733
As: 0.317 0.051 0.040
O: 0.750 0.332 0.767
O: 0.119 0.026 0.104
Ti: 0.939 0.196 0.718
O: 0.081 0.370 0.735
As: 0.817 0.949 0.460
O: 0.171 0.765 0.427
O: 0.182 0.313 0.428


# 6
# SiO2

SiO2 after structural relaxation (GGA-PBE, Materials Project).

Values from the calculation:
space group: No. 51
E: -236.73 eV per cell
volume: 626.7 Å³ per cell
total energy after the MP2020 corrections: -8.3489 eV per atom
energy of formation: -3242 meV/atom

a b c (Å): 6.469 6.960 13.919
angles (deg): 90.00 90.00 90.00
Positions (direct):
O: 0.976 0.807 0.750
O: 0.261 0.000 0.846
O: 0.382 0.193 0.154
O: 0.382 0.807 0.346
O: 0.618 0.807 0.846
O: 0.500 0.000 0.000
Si: 0.738 0.269 0.750
O: 0.738 0.500 0.750
O: 0.382 0.807 0.154
O: 0.500 0.000 0.500
O: 0.262 0.500 0.250
O: 0.024 0.807 0.250
O: 0.739 0.000 0.346
Si: 0.501 0.000 0.115
O: 0.382 0.193 0.346
Si: 0.262 0.731 0.250
O: 0.261 0.000 0.654
Si: 0.499 0.000 0.615
O: 0.618 0.193 0.654
Si: 0.882 0.000 0.250
O: 0.618 0.193 0.846
O: 0.739 0.000 0.154
Si: 0.262 0.269 0.250
O: 0.976 0.193 0.750
Si: 0.118 0.000 0.750
O: 0.024 0.193 0.250
Si: 0.738 0.731 0.750
Si: 0.499 0.000 0.885
Si: 0.501 0.000 0.385
O: 0.618 0.807 0.654